Entry 1:
A plane-wave DFT calculation with PBE was carried out for a relaxed PrPaO4 crystal.

Unit cell a=3.8702 b=3.8702 c=5.5954 alpha=90.00 beta=90.00 gamma=90.00
Space group P4/mmm (No. 123)
Unique sites:
Pr  0.0000  0.0000  0.0000 x1
Pa  0.5000  0.5000  0.5000 x1
O  0.0000  0.5000  0.2706 x4

Computed properties:
formation energy	-394	kJ/mol of atoms
ρ	8.637	g/cm³

=====

Entry 2:
A plane-wave DFT calculation with PBE was carried out for a relaxed Pa2Rh2O5 crystal.

Unit cell a=4.0317 b=4.0317 c=6.8885 alpha=90.00 beta=90.00 gamma=90.00
Space group P4/mmm (No. 123)
Unique sites:
Pa  0.0000  0.0000  0.0000 x1
Pa  0.0000  0.0000  0.5000 x1
Rh  0.5000  0.5000  0.1914 x2
O  0.0000  0.5000  0.2392 x4
O  0.5000  0.5000  0.5000 x1

Computed properties:
formation energy	-199	kJ/mol of atoms
ρ	11.091	g/cm³

=====

Entry 3:
A plane-wave DFT calculation with PBE was carried out for a relaxed ScPaO4 crystal.

Unit cell a=5.2435 b=5.2435 c=10.5601 alpha=90.00 beta=90.00 gamma=90.00
Space group I4_1/amd (No. 141, origin choice 2)
Unique sites:
Sc  0.0000  0.2500  0.3750 x4
Pa  0.0000  0.2500  0.8750 x4
O  0.2482  0.0000  0.5000 x16

Computed properties:
formation energy	-391	kJ/mol of atoms
ρ	7.778	g/cm³

=====

Entry 4:
A plane-wave DFT calculation with PBE was carried out for a relaxed ScPaO4 crystal.

Unit cell a=3.7355 b=3.7355 c=5.2120 alpha=90.00 beta=90.00 gamma=90.00
Space group P4/mmm (No. 123)
Unique sites:
Sc  0.0000  0.0000  0.0000 x1
Pa  0.5000  0.5000  0.5000 x1
O  0.0000  0.5000  0.2483 x4

Computed properties:
formation energy	-391	kJ/mol of atoms
ρ	7.763	g/cm³

=====

Entry 5:
A plane-wave DFT calculation with PBE was carried out for a relaxed PaSiO3 crystal.

Unit cell a=3.8209 b=3.8209 c=3.8209 alpha=90.00 beta=90.00 gamma=90.00
Space group Pm-3m (No. 221)
Unique sites:
Pa  0.0000  0.0000  0.0000 x1
Si  0.5000  0.5000  0.5000 x1
O  0.0000  0.5000  0.5000 x3

Computed properties:
formation energy	-231	kJ/mol of atoms
ρ	9.142	g/cm³

=====

Entry 6:
A plane-wave DFT calculation with PBE was carried out for a relaxed SmPaO4 crystal.

Unit cell a=3.8409 b=3.8409 c=5.5014 alpha=90.00 beta=90.00 gamma=90.00
Space group P4/mmm (No. 123)
Unique sites:
Sm  0.0000  0.0000  0.0000 x1
Pa  0.5000  0.5000  0.5000 x1
O  0.0000  0.5000  0.2654 x4

Computed properties:
formation energy	-399	kJ/mol of atoms
ρ	9.113	g/cm³

=====

- ρ of number 4 (ScPaO4)?
  7.763 g/cm³